Here is a relaxed structure of TaTc from the Materials Project database. Energies are from PBE-GGA.

Values from the calculation:
formation enthalpy at 0 K = -0.4977 eV/atom

Geometry as POSCAR:
```
TaTc
1.0
3.191 0.000 0.000
0.000 3.191 0.000
0.000 0.000 3.191
Ta Tc
1 1
direct
0.000 0.000 0.000
0.500 0.500 0.500
```